[1]
! PBE SrMg, optimized geometry; values from VASP
! - M_tot (μB per atom) = 0.006
&SYSTEM
  ibrav = 0, nat = 4, ntyp = 2
/
ATOMIC_SPECIES
Sr 87.62 Sr.upf
Mg 24.30 Mg.upf
CELL_PARAMETERS angstrom
-0.533 1.451 -3.765
-3.173 -0.309 2.530
1.941 10.297 3.693
ATOMIC_POSITIONS crystal
Sr 0.667 0.333 0.161
Sr 0.333 0.667 0.839
Mg 0.333 0.667 0.408
Mg 0.667 0.333 0.592

[2]
! PBE SrMg, optimized geometry; values from VASP
! - M_tot (μB per atom) = 0.001
&SYSTEM
  ibrav = 0, nat = 4, ntyp = 2
/
ATOMIC_SPECIES
Sr 87.62 Sr.upf
Mg 24.30 Mg.upf
CELL_PARAMETERS angstrom
-0.426 3.932 -1.253
-6.031 -0.647 0.017
-0.181 1.831 5.807
ATOMIC_POSITIONS crystal
Sr 0.000 0.096 0.000
Sr 0.500 0.904 0.500
Mg 0.500 0.586 0.000
Mg 0.000 0.414 0.500

[3]
! PBE SrMg5, optimized geometry; values from VASP
! - M_tot (μB per atom) = 0.004
! - distance to the lowest polymorph of the same formula (meV/atom) = 196
&SYSTEM
  ibrav = 0, nat = 6, ntyp = 2
/
ATOMIC_SPECIES
Sr 87.62 Sr.upf
Mg 24.30 Mg.upf
CELL_PARAMETERS angstrom
1.761 -3.050 0.000
1.761 3.050 0.000
0.000 0.000 15.377
ATOMIC_POSITIONS crystal
Sr 0.667 0.333 0.000
Mg 0.000 0.000 0.807
Mg 0.667 0.333 0.654
Mg 0.000 0.000 0.500
Mg 0.667 0.333 0.346
Mg 0.000 0.000 0.193

[4]
! PBE SrMg, optimized geometry; values from VASP
! - M_tot (μB per atom) = 0.000
&SYSTEM
  ibrav = 0, nat = 6, ntyp = 2
/
ATOMIC_SPECIES
Sr 87.62 Sr.upf
Mg 24.30 Mg.upf
CELL_PARAMETERS angstrom
2.060 -9.110 0.000
2.060 9.110 0.000
0.000 0.000 5.955
ATOMIC_POSITIONS crystal
Sr 0.971 0.029 0.000
Sr 0.658 0.342 0.000
Sr 0.804 0.196 0.500
Mg 0.319 0.681 0.000
Mg 0.109 0.891 0.500
Mg 0.473 0.527 0.500

[5]
Density functional theory data (PBE) for a relaxed structure of SrMg. Values from VASP.

Geometry as Quantum ESPRESSO input:
```
&SYSTEM
  ibrav = 0, nat = 4, ntyp = 2
/
ATOMIC_SPECIES
Sr 87.62 Sr.upf
Mg 24.30 Mg.upf
CELL_PARAMETERS angstrom
1.995 6.662 0.000
-1.995 6.662 0.000
0.000 2.277 5.606
ATOMIC_POSITIONS crystal
Sr 0.605 0.605 0.671
Sr 0.395 0.395 0.329
Mg 0.843 0.843 0.876
Mg 0.157 0.157 0.124
```

[6]
! PBE SrMg2, optimized geometry; values from VASP
! - M_tot (μB per atom) = 0.014
&SYSTEM
  ibrav = 0, nat = 6, ntyp = 2
/
ATOMIC_SPECIES
Sr 87.62 Sr.upf
Mg 24.30 Mg.upf
CELL_PARAMETERS angstrom
2.026 -3.509 0.000
2.026 3.509 0.000
0.000 0.000 14.958
ATOMIC_POSITIONS crystal
Sr 0.667 0.333 0.182
Sr 0.667 0.333 0.818
Mg 0.667 0.333 0.500
Mg 0.000 0.000 0.367
Mg 0.000 0.000 0.000
Mg 0.000 0.000 0.633

[7]
Density functional theory data (PBE) for a relaxed structure of SrMg2. Values from VASP.

Geometry as Quantum ESPRESSO input:
```
&SYSTEM
  ibrav = 0, nat = 6, ntyp = 2
/
ATOMIC_SPECIES
Sr 87.62 Sr.upf
Mg 24.30 Mg.upf
CELL_PARAMETERS angstrom
2.111 -5.927 1.360
3.038 -1.138 5.559
-2.883 -3.469 4.592
ATOMIC_POSITIONS crystal
Sr 0.000 0.000 0.000
Sr 0.250 0.250 0.250
Mg 0.625 0.625 0.125
Mg 0.625 0.125 0.625
Mg 0.125 0.625 0.625
Mg 0.625 0.625 0.625
```

[8]
! PBE SrMg, optimized geometry; values from VASP
! - M_tot (μB per atom) = 0.002
&SYSTEM
  ibrav = 0, nat = 2, ntyp = 2
/
ATOMIC_SPECIES
Sr 87.62 Sr.upf
Mg 24.30 Mg.upf
CELL_PARAMETERS angstrom
0.000 3.500 3.500
3.500 0.000 3.500
3.500 3.500 0.000
ATOMIC_POSITIONS crystal
Sr 0.500 0.500 0.500
Mg 0.000 0.000 0.000

[9]
! PBE SrMg, optimized geometry; values from VASP
! - M_tot (μB per atom) = 0.001
&SYSTEM
  ibrav = 0, nat = 6, ntyp = 2
/
ATOMIC_SPECIES
Sr 87.62 Sr.upf
Mg 24.30 Mg.upf
CELL_PARAMETERS angstrom
-3.952 -1.550 0.260
3.195 -1.978 1.991
-2.597 8.781 12.893
ATOMIC_POSITIONS crystal
Sr 0.667 0.333 0.723
Sr 0.000 0.000 0.500
Sr 0.667 0.333 0.277
Mg 0.667 0.333 0.000
Mg 0.000 0.000 0.888
Mg 0.000 0.000 0.112

[10]
! PBE SrMg2, optimized geometry; values from VASP
! - M_tot (μB per atom) = 0.000
&SYSTEM
  ibrav = 0, nat = 6, ntyp = 2
/
ATOMIC_SPECIES
Sr 87.62 Sr.upf
Mg 24.30 Mg.upf
CELL_PARAMETERS angstrom
5.682 -3.179 0.000
5.682 3.179 0.000
3.903 0.000 5.211
ATOMIC_POSITIONS crystal
Sr 0.125 0.125 0.125
Sr 0.875 0.875 0.875
Mg 0.000 0.500 0.500
Mg 0.500 0.000 0.500
Mg 0.500 0.500 0.500
Mg 0.500 0.500 0.000

[11]
! PBE SrMg2, optimized geometry; values from VASP
! - M_tot (μB per atom) = 0.001
&SYSTEM
  ibrav = 0, nat = 6, ntyp = 2
/
ATOMIC_SPECIES
Sr 87.62 Sr.upf
Mg 24.30 Mg.upf
CELL_PARAMETERS angstrom
7.880 4.383 2.272
-9.182 -1.433 -0.328
0.297 -2.981 4.722
ATOMIC_POSITIONS crystal
Sr 0.431 0.569 0.250
Sr 0.569 0.431 0.750
Mg 0.127 0.873 0.250
Mg 0.765 0.235 0.250
Mg 0.235 0.765 0.750
Mg 0.873 0.127 0.750

[12]
! PBE SrMg2, optimized geometry; values from VASP
! - M_tot (μB per atom) = 0.000
&SYSTEM
  ibrav = 0, nat = 6, ntyp = 2
/
ATOMIC_SPECIES
Sr 87.62 Sr.upf
Mg 24.30 Mg.upf
CELL_PARAMETERS angstrom
-4.688 -0.789 -4.875
-1.437 -0.367 -6.646
-0.162 -8.075 -2.222
ATOMIC_POSITIONS crystal
Sr 0.517 0.517 0.232
Sr 0.483 0.483 0.768
Mg 0.804 0.804 0.139
Mg 0.176 0.176 0.444
Mg 0.824 0.824 0.556
Mg 0.196 0.196 0.861

[13]
! PBE SrMg, optimized geometry; values from VASP
! - M_tot (μB per atom) = 0.000
&SYSTEM
  ibrav = 0, nat = 6, ntyp = 2
/
ATOMIC_SPECIES
Sr 87.62 Sr.upf
Mg 24.30 Mg.upf
CELL_PARAMETERS angstrom
2.088 -9.205 0.000
2.088 9.205 0.000
0.000 0.000 6.018
ATOMIC_POSITIONS crystal
Sr 0.992 0.008 0.000
Sr 0.676 0.324 0.000
Sr 0.438 0.562 0.500
Mg 0.333 0.667 0.000
Mg 0.117 0.883 0.500
Mg 0.778 0.222 0.500

[14]
Density functional theory data (PBE) for a relaxed structure of SrMg. Values from VASP.

Geometry as Quantum ESPRESSO input:
```
&SYSTEM
  ibrav = 0, nat = 2, ntyp = 2
/
ATOMIC_SPECIES
Sr 87.62 Sr.upf
Mg 24.30 Mg.upf
CELL_PARAMETERS angstrom
4.196 0.000 0.000
0.000 4.196 0.000
0.000 0.000 4.196
ATOMIC_POSITIONS crystal
Sr 0.500 0.500 0.500
Mg 0.000 0.000 0.000
```

[15]
! PBE Sr3Mg, optimized geometry; values from VASP
! - M_tot (μB per atom) = 0.001
&SYSTEM
  ibrav = 0, nat = 4, ntyp = 2
/
ATOMIC_SPECIES
Sr 87.62 Sr.upf
Mg 24.30 Mg.upf
CELL_PARAMETERS angstrom
-2.765 2.765 5.924
2.765 -2.765 5.924
2.765 2.765 -5.924
ATOMIC_POSITIONS crystal
Sr 0.500 0.500 0.000
Sr 0.250 0.750 0.500
Sr 0.750 0.250 0.500
Mg 0.000 0.000 0.000

[16]
! PBE SrMg3, optimized geometry; values from VASP
! - M_tot (μB per atom) = 0.001
&SYSTEM
  ibrav = 0, nat = 4, ntyp = 2
/
ATOMIC_SPECIES
Sr 87.62 Sr.upf
Mg 24.30 Mg.upf
CELL_PARAMETERS angstrom
-0.997 -0.575 3.286
-0.134 -5.355 -0.977
6.038 -0.470 1.749
ATOMIC_POSITIONS crystal
Sr 0.500 0.000 0.162
Mg 0.000 0.000 0.656
Mg 0.000 0.500 0.373
Mg 0.500 0.500 0.809

[17]
! PBE SrMg2, optimized geometry; values from VASP
! - M_tot (μB per atom) = 0.069
&SYSTEM
  ibrav = 0, nat = 6, ntyp = 2
/
ATOMIC_SPECIES
Sr 87.62 Sr.upf
Mg 24.30 Mg.upf
CELL_PARAMETERS angstrom
1.858 -3.218 0.000
1.858 3.218 0.000
0.000 0.000 16.865
ATOMIC_POSITIONS crystal
Sr 0.667 0.333 0.750
Sr 0.333 0.667 0.250
Mg 0.333 0.667 0.926
Mg 0.333 0.667 0.574
Mg 0.667 0.333 0.426
Mg 0.667 0.333 0.074

[18]
! PBE SrMg2, optimized geometry; values from VASP
! - M_tot (μB per atom) = 0.000
&SYSTEM
  ibrav = 0, nat = 6, ntyp = 2
/
ATOMIC_SPECIES
Sr 87.62 Sr.upf
Mg 24.30 Mg.upf
CELL_PARAMETERS angstrom
-8.746 2.451 0.499
7.550 -2.827 -4.215
-1.466 -5.440 1.023
ATOMIC_POSITIONS crystal
Sr 0.288 0.712 0.250
Sr 0.712 0.288 0.750
Mg 0.594 0.406 0.250
Mg 0.955 0.045 0.250
Mg 0.045 0.955 0.750
Mg 0.406 0.594 0.750

[19]
! PBE SrMg3, optimized geometry; values from VASP
! - M_tot (μB per atom) = 0.002
&SYSTEM
  ibrav = 0, nat = 4, ntyp = 2
/
ATOMIC_SPECIES
Sr 87.62 Sr.upf
Mg 24.30 Mg.upf
CELL_PARAMETERS angstrom
-2.786 2.786 3.642
2.786 -2.786 3.642
2.786 2.786 -3.642
ATOMIC_POSITIONS crystal
Sr 0.000 0.000 0.000
Mg 0.500 0.500 0.000
Mg 0.250 0.750 0.500
Mg 0.750 0.250 0.500

[20]
! PBE SrMg, optimized geometry; values from VASP
! - M_tot (μB per atom) = 0.003
&SYSTEM
  ibrav = 0, nat = 6, ntyp = 2
/
ATOMIC_SPECIES
Sr 87.62 Sr.upf
Mg 24.30 Mg.upf
CELL_PARAMETERS angstrom
-3.077 -6.608 0.239
0.873 -7.237 -0.261
0.604 -2.495 7.918
ATOMIC_POSITIONS crystal
Sr 0.613 0.613 0.233
Sr 0.327 0.327 0.333
Sr 0.954 0.954 0.635
Mg 0.006 0.006 0.001
Mg 0.665 0.665 0.708
Mg 0.268 0.268 0.922

[21]
! PBE SrMg, optimized geometry; values from VASP
! - M_tot (μB per atom) = 0.000
&SYSTEM
  ibrav = 0, nat = 4, ntyp = 2
/
ATOMIC_SPECIES
Sr 87.62 Sr.upf
Mg 24.30 Mg.upf
CELL_PARAMETERS angstrom
4.009 0.000 0.000
0.000 5.981 0.000
0.000 0.000 6.117
ATOMIC_POSITIONS crystal
Sr 0.500 0.250 0.287
Sr 0.500 0.750 0.713
Mg 0.000 0.750 0.189
Mg 0.000 0.250 0.811

[22]
! PBE SrMg5, optimized geometry; values from VASP
! - M_tot (μB per atom) = 0.000
! - distance to the lowest polymorph of the same formula (meV/atom) = 106
&SYSTEM
  ibrav = 0, nat = 6, ntyp = 2
/
ATOMIC_SPECIES
Sr 87.62 Sr.upf
Mg 24.30 Mg.upf
CELL_PARAMETERS angstrom
2.302 5.026 7.259
-4.694 -6.083 -4.922
3.287 -3.849 1.623
ATOMIC_POSITIONS crystal
Sr 0.779 0.221 0.000
Mg 0.998 0.002 0.500
Mg 0.355 0.645 0.500
Mg 0.646 0.354 0.500
Mg 0.100 0.900 0.000
Mg 0.455 0.545 0.000

[23]
! PBE SrMg, optimized geometry; values from VASP
! - M_tot (μB per atom) = 0.019
&SYSTEM
  ibrav = 0, nat = 2, ntyp = 2
/
ATOMIC_SPECIES
Sr 87.62 Sr.upf
Mg 24.30 Mg.upf
CELL_PARAMETERS angstrom
-2.976 -1.091 -2.524
2.942 -2.630 0.921
-3.005 -1.842 4.338
ATOMIC_POSITIONS crystal
Sr 0.000 0.000 0.000
Mg 0.667 0.333 0.500

[24]
! PBE SrMg2, optimized geometry; values from VASP
! - M_tot (μB per atom) = 0.010
&SYSTEM
  ibrav = 0, nat = 6, ntyp = 2
/
ATOMIC_SPECIES
Sr 87.62 Sr.upf
Mg 24.30 Mg.upf
CELL_PARAMETERS angstrom
-6.594 -1.394 0.995
1.682 -4.522 4.810
-0.306 4.632 4.461
ATOMIC_POSITIONS crystal
Sr 0.000 0.000 0.000
Sr 0.500 0.500 0.500
Mg 0.348 0.348 0.000
Mg 0.652 0.652 0.000
Mg 0.152 0.848 0.500
Mg 0.848 0.152 0.500

[25]
! PBE SrMg3, optimized geometry; values from VASP
! - M_tot (μB per atom) = 0.001
&SYSTEM
  ibrav = 0, nat = 4, ntyp = 2
/
ATOMIC_SPECIES
Sr 87.62 Sr.upf
Mg 24.30 Mg.upf
CELL_PARAMETERS angstrom
-1.813 2.984 5.583
1.813 -2.984 5.583
1.813 2.984 -5.583
ATOMIC_POSITIONS crystal
Sr 0.654 0.000 0.654
Mg 0.164 0.500 0.664
Mg 0.249 0.241 0.008
Mg 0.766 0.759 0.008

[26]
! PBE SrMg5, optimized geometry; values from VASP
! - M_tot (μB per atom) = 0.000
! - distance to the lowest polymorph of the same formula (meV/atom) = 110
&SYSTEM
  ibrav = 0, nat = 6, ntyp = 2
/
ATOMIC_SPECIES
Sr 87.62 Sr.upf
Mg 24.30 Mg.upf
CELL_PARAMETERS angstrom
-1.705 5.286 -3.668
-6.099 2.219 -1.474
-2.944 5.632 1.978
ATOMIC_POSITIONS crystal
Sr 0.500 0.500 0.500
Mg 0.000 0.673 0.327
Mg 0.834 0.834 0.834
Mg 0.673 0.327 0.000
Mg 0.327 0.000 0.673
Mg 0.166 0.166 0.166

[27]
! PBE SrMg, optimized geometry; values from VASP
! - M_tot (μB per atom) = 0.002
&SYSTEM
  ibrav = 0, nat = 6, ntyp = 2
/
ATOMIC_SPECIES
Sr 87.62 Sr.upf
Mg 24.30 Mg.upf
CELL_PARAMETERS angstrom
-2.850 -2.508 1.731
1.748 -1.031 -3.646
11.605 -7.821 7.774
ATOMIC_POSITIONS crystal
Sr 0.000 0.000 0.983
Sr 0.667 0.333 0.532
Sr 0.000 0.000 0.317
Mg 0.667 0.333 0.818
Mg 0.000 0.000 0.699
Mg 0.667 0.333 0.151

[28]
! PBE Sr3Mg, optimized geometry; values from VASP
! - M_tot (μB per atom) = 0.002
&SYSTEM
  ibrav = 0, nat = 4, ntyp = 2
/
ATOMIC_SPECIES
Sr 87.62 Sr.upf
Mg 24.30 Mg.upf
CELL_PARAMETERS angstrom
-2.683 2.007 -2.563
-4.695 -3.849 1.901
-1.536 4.351 5.015
ATOMIC_POSITIONS crystal
Sr 0.000 0.000 0.004
Sr 0.500 0.000 0.484
Sr 0.500 0.500 0.842
Mg 0.000 0.500 0.336

[29]
! PBE SrMg, optimized geometry; values from VASP
! - M_tot (μB per atom) = 0.000
&SYSTEM
  ibrav = 0, nat = 6, ntyp = 2
/
ATOMIC_SPECIES
Sr 87.62 Sr.upf
Mg 24.30 Mg.upf
CELL_PARAMETERS angstrom
0.756 7.505 6.147
-4.210 -5.623 -6.733
-2.533 -3.296 4.336
ATOMIC_POSITIONS crystal
Sr 0.980 0.020 0.000
Sr 0.684 0.316 0.000
Sr 0.110 0.890 0.500
Mg 0.334 0.666 0.000
Mg 0.433 0.567 0.500
Mg 0.793 0.207 0.500

| no. | formation energy from the elements (eV per atom) | calculated volume (A^3/atom) |
| --- | --- | --- |
| 1 | 0.147 | 39.8 |
| 2 | 0.112 | 38.3 |
| 3 | 0.156 | 27.5 |
| 4 | 0.010 | 37.3 |
| 5 | -0.028 | 37.2 |
| 6 | 0.179 | 35.4 |
| 7 | -0.092 | 31.4 |
| 8 | 0.222 | 42.9 |
| 9 | 0.134 | 41.3 |
| 10 | -0.088 | 31.4 |
| 11 | 0.025 | 32.0 |
| 12 | -0.005 | 32.2 |
| 13 | 0.125 | 38.6 |
| 14 | -0.058 | 36.9 |
| 15 | 0.055 | 45.3 |
| 16 | 0.085 | 29.9 |
| 17 | 0.194 | 33.6 |
| 18 | 0.161 | 33.2 |
| 19 | -0.009 | 28.3 |
| 20 | 0.091 | 37.6 |
| 21 | -0.031 | 36.7 |
| 22 | 0.066 | 27.8 |
| 23 | 0.132 | 39.7 |
| 24 | 0.606 | 49.8 |
| 25 | 0.087 | 30.2 |
| 26 | 0.070 | 27.9 |
| 27 | 0.135 | 40.2 |
| 28 | 0.069 | 45.7 |
| 29 | 0.112 | 37.9 |